Entry from Materials Project: a relaxed structure of Fe2S3N2O12 (PBE+U).

Geometry as extended XYZ:
```
76
Lattice="-8.321 -2.527 -4.717 1.076 -9.333 3.102 -5.242 2.096 8.124" Properties=species:S:1:pos:R:3 pbc="T T T"
O -2.509 -4.017 1.367
O -6.697 -8.916 -0.802
O -8.391 -2.734 2.534
O -4.396 -9.564 2.448
O -11.282 -4.726 5.145
O -2.804 -9.003 4.145
O -3.167 -1.917 3.256
O -9.302 -0.790 0.934
O -10.536 -1.085 3.580
O -7.244 -1.281 7.210
O -3.128 -0.791 -0.972
O -9.077 -4.668 -1.386
O -3.311 -8.464 6.914
O -3.274 -6.343 5.054
O -5.536 -6.240 4.185
O -9.751 -0.922 5.870
O -6.062 0.719 5.558
O -6.637 -4.076 -2.737
O -1.757 0.020 2.875
O -6.721 -5.959 8.030
O -4.893 -4.852 6.068
O -0.679 -7.103 4.153
O -7.792 -6.270 5.879
O -4.928 -4.907 10.102
O -0.277 -3.265 0.787
O -5.595 -7.174 1.239
O -4.461 -1.991 0.661
O -6.339 -3.309 8.103
O -9.410 -9.099 2.176
O -5.992 -2.556 2.785
O -7.442 -8.171 7.344
O -7.427 -1.485 4.373
O -3.840 -8.557 -0.237
O -12.083 -1.531 1.440
O -6.613 -5.709 -0.401
O -3.993 -4.389 3.872
O -10.215 -3.507 0.370
O -7.820 -7.827 3.492
O -3.878 -6.504 8.226
O -7.254 -5.546 1.931
O -3.438 -3.616 7.945
O -9.496 -5.533 3.717
O -11.041 -3.858 2.893
O -5.059 -4.816 1.185
O -7.037 -9.572 2.004
O -8.497 -7.470 -1.545
O -7.279 -3.905 4.345
O -5.342 -11.039 0.110
N -5.614 -8.903 5.255
N -10.172 -7.952 5.302
N -0.577 -0.451 0.301
N -9.728 -6.556 0.882
N -7.153 -2.804 -0.103
N -4.798 -1.967 5.670
N -2.852 -6.803 2.150
N -9.057 -3.616 6.581
S -7.278 -2.666 3.509
S -3.721 -7.976 8.266
S -6.130 -5.817 0.984
S -10.889 -5.061 3.742
S -1.478 -4.014 0.304
S -4.235 -0.673 0.027
S -7.755 -6.710 7.283
S -8.118 -9.152 2.925
S -10.958 -0.904 4.988
S -8.049 -8.890 -1.407
S -1.894 -1.261 3.634
S -4.422 -5.457 4.801
Fe -4.203 -3.286 2.191
Fe -7.579 -5.768 -2.172
Fe -7.519 -5.879 3.919
Fe -1.970 -7.804 5.536
Fe -7.908 -0.076 5.735
Fe -10.263 -2.249 1.951
Fe -5.478 -9.141 0.793
Fe -5.032 -4.851 8.083
```

formation energy from the elements: -1.054 eV/atom
size of the total moment: 64.0 μB per cell


Entry from Materials Project: a relaxed structure of Rb2Cr2O7 (PBE+U).

Geometry as extended XYZ:
```
44
Lattice="7.878 0.000 0.000 0.471 7.901 0.000 0.221 1.770 13.731" Properties=species:S:1:pos:R:3 pbc="T T T"
Cr 5.203 1.235 1.170
Cr 6.014 4.662 12.223
Cr 3.367 8.436 12.561
Cr 0.706 2.643 5.335
Cr 2.556 5.009 1.508
Cr 7.864 7.028 8.395
Cr 5.926 6.381 5.732
Cr 2.644 3.289 7.999
O 6.867 5.845 12.959
O 3.486 4.406 2.707
O 2.488 7.421 11.620
O 3.869 2.239 7.714
O 7.045 3.539 11.610
O 1.521 1.338 4.765
O 1.744 3.583 6.471
O 7.049 8.333 8.966
O 6.624 7.861 0.771
O 7.207 2.189 6.076
O 5.297 4.960 5.235
O 5.085 5.265 11.024
O 6.082 2.250 2.111
O 3.888 0.742 1.998
O 4.683 8.929 11.733
O 3.647 5.790 0.312
O 3.274 4.710 8.496
O 8.202 6.026 9.639
O 1.526 6.132 2.120
O 6.914 6.984 4.579
O 1.703 3.826 0.771
O 1.947 1.810 12.960
O 4.923 3.880 13.419
O 1.656 2.687 9.152
O 0.369 3.645 4.092
O 4.701 7.431 6.017
O 6.827 6.088 7.260
O 1.363 7.481 7.655
Rb 0.964 1.198 1.855
Rb 2.091 4.486 11.577
Rb 6.451 3.421 8.667
Rb 6.479 5.185 2.154
Rb 4.571 2.135 4.694
Rb 3.999 7.536 9.037
Rb 2.119 6.250 5.064
Rb 7.606 8.473 11.876
```

formation energy from the elements: -1.931 eV/atom
size of the total moment: 0.0 μB per cell
ΔE to the lowest computed polymorph: 3 meV per atom


Entry from Materials Project: a relaxed structure of V6AgO15 (PBE+U).

Geometry as extended XYZ:
```
44
Lattice="-2.803 4.618 10.640 3.013 -6.431 3.293 8.350 3.434 0.886" Properties=species:S:1:pos:R:3 pbc="T T T"
Ag 2.901 3.978 5.905
Ag 4.257 -0.048 14.234
O 1.471 2.518 6.600
O 2.497 0.412 1.015
O 4.088 2.207 8.968
O -0.624 1.002 7.437
O 9.334 0.744 6.833
O 4.575 -0.527 5.914
O 3.242 -2.247 3.889
O 0.358 0.340 4.927
O 1.715 -1.886 11.093
O 5.257 7.345 11.484
O 0.627 -1.432 2.666
O 5.443 5.816 9.046
O 5.977 -2.755 4.717
O 8.193 1.517 9.711
O 1.901 -3.415 8.655
O 7.782 2.928 12.701
O 6.719 1.559 5.610
O 9.603 -1.028 4.572
O 6.740 3.616 3.863
O 2.324 -0.299 8.901
O 2.325 4.255 10.034
O 7.464 -1.100 8.483
O 4.833 -0.325 10.105
O 5.386 -0.161 3.585
O 5.687 1.412 13.539
O 3.070 1.723 11.171
O 3.221 -4.304 5.636
O -1.035 2.413 10.427
O 4.834 4.229 11.238
O 3.984 2.068 4.781
V 8.572 0.137 8.421
V 5.151 0.950 5.011
V 7.813 2.736 4.706
V 1.389 -0.825 1.077
V 3.572 0.652 9.772
V 2.147 -3.424 4.793
V 4.810 -1.638 4.487
V 0.072 1.696 6.144
V 1.467 -1.794 9.494
V 3.586 3.278 10.366
V 7.086 2.234 13.994
V 5.691 5.724 10.645
```

formation energy from the elements: -2.044 eV/atom
size of the total moment: 2.0 μB per cell
ΔE to the lowest computed polymorph: 131 meV per atom


Entry from Materials Project: a relaxed structure of Na2NiPCO7 (PBE+U).

Geometry as extended XYZ:
```
48
Lattice="2.614 0.139 -9.835 9.823 2.301 -2.730 -2.001 -7.477 -3.273" Properties=species:S:1:pos:R:3 pbc="T T T"
Na 3.548 -4.692 -10.997
Na 6.047 -2.510 -10.356
Na 0.379 -6.667 -4.137
Na 10.013 1.824 -11.876
Na 3.710 0.527 -5.488
Na 6.744 -5.662 -10.227
Na 10.651 -1.234 -11.645
Na 4.605 -2.498 -5.458
O 4.858 -3.296 -12.427
O 5.390 -5.677 -12.305
O 4.500 -4.337 -6.939
O 5.617 -1.751 -3.341
O 5.968 -0.628 -8.976
O 2.298 -1.419 -4.836
O 5.265 -4.276 -9.085
O 3.672 -1.404 -10.790
O 0.594 -5.334 -7.454
O 8.258 -2.242 -9.033
O 11.326 0.406 -13.147
O 5.023 0.657 -3.475
O 6.793 -3.669 -4.987
O 3.563 -0.898 -2.064
O 0.853 -5.415 -10.364
O 8.506 -0.139 -11.112
O 1.787 -5.398 -12.406
O 3.125 -4.760 -8.614
O 2.006 -2.848 -6.921
O 5.043 -0.742 -6.918
O 11.292 1.862 -9.752
O -0.865 -6.946 -6.118
O 7.217 -0.255 -7.236
O 6.894 -4.138 -13.750
O 1.994 -4.902 -4.703
O 8.126 -3.717 -11.047
O 9.781 0.327 -8.376
O 9.588 0.370 -5.387
Ni 8.028 -0.209 -9.141
Ni 8.654 -3.636 -12.931
Ni 2.417 -4.843 -6.647
Ni 1.796 -1.453 -2.900
C 6.037 -0.556 -7.674
C 4.342 -4.448 -8.224
C -0.145 -1.832 -1.369
C 10.604 -3.240 -14.399
P 5.455 -4.456 -13.266
P 5.005 -0.576 -2.542
P 8.979 -3.393 -9.748
P 1.400 -1.687 -6.100
```

formation energy from the elements: -2.081 eV/atom
size of the total moment: 4.0 μB per cell
ΔE to the lowest computed polymorph: 6 meV per atom


Entry from Materials Project: a relaxed structure of MgMnCo2O6 (PBE+U).

Geometry as extended XYZ:
```
10
Lattice="6.247 -2.542 0.156 0.008 -1.502 2.532 -3.890 -4.163 -2.636" Properties=species:S:1:pos:R:3 pbc="T T T"
Co 1.518 -5.519 -0.023
Co -3.757 -5.584 -0.081
O 0.122 -4.428 0.761
O -0.765 -1.660 0.694
O 0.878 -5.714 -1.967
O 1.491 -2.580 1.863
O 2.276 -3.792 -0.526
O 3.037 -6.464 -0.654
Mn 0.776 -2.749 0.049
Mg 4.069 -3.188 -0.262
```

formation energy from the elements: -1.619 eV/atom
size of the total moment: 5.0 μB per cell
ΔE to the lowest computed polymorph: 31 meV per atom


Entry from Materials Project: a relaxed structure of Ba3Co10O17 (PBE+U).

Geometry as extended XYZ:
```
30
Lattice="1.579 5.908 -10.989 -3.111 8.386 -8.841 2.073 10.131 -7.157" Properties=species:S:1:pos:R:3 pbc="T T T"
O 0.780 5.435 -8.037
O 1.898 17.861 -19.928
O 1.291 13.988 -13.313
O -0.488 12.678 -11.640
O -1.356 6.564 -7.059
O 1.005 7.359 -6.292
O -0.766 7.147 -9.915
O 1.826 8.019 -9.073
O -0.464 17.066 -20.695
O -0.239 18.990 -18.949
O -0.750 10.437 -13.674
O 2.001 11.363 -12.780
O 1.029 11.747 -15.347
O -1.460 13.062 -14.206
O 0.076 3.433 -3.793
O -0.519 9.258 -7.999
O 0.465 20.992 -23.194
Co 0.790 2.954 -5.494
Co 0.493 22.273 -24.609
Co 0.416 18.762 -20.730
Co 0.376 16.984 -18.766
Co -1.556 4.193 -4.420
Co 0.048 2.152 -2.378
Co 0.165 7.440 -8.221
Co 1.036 5.065 -3.579
Co 0.125 5.663 -6.257
Co 0.271 12.212 -13.493
Ba 0.216 9.732 -10.753
Ba 0.325 14.692 -16.233
Ba 0.000 0.000 0.000
```

formation energy from the elements: -1.651 eV/atom
size of the total moment: 12.0 μB per cell


Entry from Materials Project: a relaxed structure of LiMnSbO4 (PBE+U).

Geometry as extended XYZ:
```
28
Lattice="0.000 6.259 0.000 0.000 0.000 8.718 6.259 0.000 0.000" Properties=species:S:1:pos:R:3 pbc="T T T"
Mn 4.711 4.711 1.090
Mn 1.548 1.548 5.449
Mn 4.710 1.549 3.270
Mn 1.549 4.710 7.628
O 1.659 0.191 8.694
O 1.659 6.068 4.383
O 0.191 1.659 2.203
O 3.001 4.551 2.333
O 6.068 1.659 6.515
O 4.600 6.068 4.335
O 4.551 3.258 4.512
O 1.708 3.258 4.206
O 3.001 1.708 2.026
O 4.551 3.001 8.565
O 1.708 3.001 0.153
O 6.068 4.601 6.562
O 3.258 4.551 6.385
O 3.258 1.708 6.692
O 0.191 4.600 2.156
O 4.600 0.191 0.024
Sb 4.791 3.130 6.539
Sb 3.130 4.791 4.359
Sb 3.130 1.468 0.000
Sb 1.468 3.130 2.180
Li 1.323 6.259 2.180
Li 6.259 1.322 0.000
Li 4.937 0.000 6.539
Li 0.000 4.937 4.359
```

piezoelectric modulus e_max: 0.1 C/m²
formation energy from the elements: -2.100 eV/atom
size of the total moment: 0.0 μB per cell
ΔE to the lowest computed polymorph: 0 meV per atom


Entry from Materials Project: a relaxed structure of Li9Mn2Co5O16 (PBE+U).

Geometry as extended XYZ:
```
32
Lattice="-0.546 3.819 3.382 -7.663 0.512 1.009 1.548 -3.321 6.824" Properties=species:S:1:pos:R:3 pbc="T T T"
Co -3.069 -1.400 3.909
Co -0.745 -2.367 5.376
Co -5.401 -0.429 2.437
Co -4.500 0.992 4.869
Co 0.145 -0.941 7.802
O -5.274 1.572 6.555
O -2.825 1.706 5.520
O -3.075 0.736 8.223
O -0.714 -0.227 9.646
O -0.859 0.671 1.633
O -5.958 1.240 1.526
O -6.044 0.170 4.242
O -1.282 -0.684 4.447
O -1.570 -1.652 7.159
O -4.989 2.660 4.213
O -3.899 -0.669 5.656
O -7.715 2.688 5.262
O -3.664 0.386 3.222
O -5.938 0.396 9.497
O 1.014 -1.659 5.964
O -0.462 0.736 6.978
Li -0.328 -1.113 2.672
Li -4.872 -0.220 7.598
Li -1.768 1.221 3.631
Li -7.141 0.781 6.064
Li -6.788 1.944 3.425
Li -4.014 1.158 10.007
Li -3.203 3.587 4.577
Li -5.755 -1.621 5.188
Li -4.149 2.155 2.229
Mn -2.176 0.025 6.336
Mn 1.548 -3.321 6.824
```

formation energy from the elements: -1.837 eV/atom
size of the total moment: 8.0 μB per cell
ΔE to the lowest computed polymorph: 27 meV per atom


Entry from Materials Project: a relaxed structure of Sr2TaFeO6 (PBE+U).

Geometry as extended XYZ:
```
40
Lattice="-2.639 -4.457 2.300 4.597 1.671 8.510 -5.437 6.053 5.490" Properties=species:S:1:pos:R:3 pbc="T T T"
O -1.898 0.745 6.318
O -2.318 4.607 13.319
O -2.666 5.068 10.541
O -3.369 -1.083 4.734
O 0.310 0.488 4.567
O 0.162 2.227 7.701
O -0.892 -0.603 11.700
O -2.494 3.370 7.386
O -1.161 -1.340 2.982
O -0.986 -0.104 8.915
O -0.813 -1.802 5.759
O -5.909 1.588 10.190
O -1.581 2.522 9.982
O -1.233 2.060 12.760
O -2.587 3.869 4.600
O 1.376 -1.151 10.110
O -6.003 2.087 7.404
O -3.641 1.040 8.600
O 2.523 1.179 8.896
O -2.246 1.207 3.541
O 2.430 1.678 6.110
O -0.110 4.350 11.567
O -3.790 2.779 11.734
O -4.855 4.418 6.191
Sr -0.572 4.776 8.773
Sr 0.894 -0.367 7.120
Sr 0.644 1.442 10.691
Sr -4.124 1.824 5.610
Sr -2.907 -1.509 7.528
Sr -4.373 3.633 9.181
Sr -3.327 2.353 14.528
Sr -0.152 0.914 1.773
Fe 2.298 0.835 4.255
Fe -2.719 3.026 2.745
Fe -1.740 1.633 8.150
Fe -1.319 -2.228 1.150
Ta -2.929 4.957 6.245
Ta -1.530 -0.298 4.650
Ta -1.950 3.564 11.650
Ta 2.088 2.766 7.755
```

formation energy from the elements: -3.053 eV/atom
size of the total moment: 0.0 μB per cell


- Which of these has the highest size of the total moment?
  Fe2S3N2O12


- The lowest formation energy from the elements belongs to which entry?
  Sr2TaFeO6


- What is the formula in the fifth record?
  MgMnCo2O6